A geometry-optimized LiTbF2 structure. Source: the Materials Project database, functional GGA-PBE.

The structure in POSCAR format:
```
LiTbF2
1.0
-3.235 3.235 6.460
3.235 -3.235 6.460
3.235 3.235 -6.460
Li Tb F
4 4 8
Direct
0.000 0.000 0.000
0.000 0.000 0.500
0.000 0.500 0.000
0.500 0.000 0.500
0.000 0.500 0.500
0.500 0.000 0.000
0.500 0.500 0.000
0.500 0.500 0.500
0.197 0.683 0.514
0.317 0.330 0.514
0.317 0.803 0.986
0.330 0.317 0.014
0.670 0.683 0.986
0.683 0.197 0.014
0.683 0.670 0.486
0.803 0.317 0.486
```

Computed properties:
ΔH_f (0 K) = -2568 meV/atom
E = -4.930 eV per atom
Symmetry = I4_1/amd

A geometry-optimized Li2TbF6 structure. Source: the Materials Project database, functional GGA-PBE.

The structure in POSCAR format:
```
Li2TbF6
1.0
7.925 0.000 0.000
0.000 4.344 0.000
-3.081 0.000 11.882
Li Tb F
8 4 24
Direct
0.052 0.028 0.177
0.052 0.472 0.677
0.375 0.559 0.304
0.375 0.941 0.804
0.625 0.059 0.196
0.625 0.441 0.696
0.948 0.528 0.323
0.948 0.972 0.823
0.249 0.532 0.998
0.249 0.968 0.498
0.751 0.032 0.502
0.751 0.468 0.002
0.026 0.740 0.058
0.026 0.760 0.558
0.114 0.657 0.817
0.114 0.843 0.317
0.245 0.220 0.670
0.245 0.280 0.170
0.296 0.049 0.947
0.296 0.451 0.447
0.391 0.662 0.663
0.391 0.838 0.163
0.467 0.569 0.896
0.467 0.931 0.396
0.533 0.069 0.604
0.533 0.431 0.104
0.609 0.162 0.837
0.609 0.338 0.337
0.704 0.549 0.553
0.704 0.951 0.053
0.755 0.720 0.830
0.755 0.780 0.330
0.886 0.157 0.683
0.886 0.343 0.183
0.974 0.240 0.442
0.974 0.260 0.942
```

Computed properties:
ΔH_f (0 K) = -3387 meV/atom
E = -5.295 eV per atom
Symmetry = P2_1/c

A geometry-optimized Li2TbF6 structure. Source: the Materials Project database, functional GGA-PBE.

The structure in POSCAR format:
```
Li2TbF6
1.0
7.669 0.000 0.000
0.000 5.082 0.000
-3.315 0.000 11.238
Li Tb F
8 4 24
Direct
0.027 0.015 0.160
0.027 0.485 0.660
0.403 0.505 0.304
0.403 0.995 0.804
0.597 0.005 0.196
0.597 0.495 0.696
0.973 0.515 0.340
0.973 0.985 0.840
0.249 0.019 0.498
0.249 0.481 0.998
0.751 0.519 0.002
0.751 0.981 0.502
0.041 0.736 0.046
0.041 0.764 0.546
0.087 0.647 0.818
0.087 0.853 0.318
0.242 0.240 0.163
0.242 0.260 0.663
0.249 0.114 0.896
0.249 0.386 0.396
0.407 0.729 0.163
0.407 0.771 0.663
0.459 0.692 0.922
0.459 0.808 0.422
0.541 0.192 0.578
0.541 0.308 0.078
0.593 0.229 0.337
0.593 0.271 0.837
0.751 0.614 0.604
0.751 0.886 0.104
0.758 0.740 0.337
0.758 0.760 0.837
0.913 0.147 0.682
0.913 0.353 0.182
0.959 0.236 0.454
0.959 0.264 0.954
```

Computed properties:
ΔH_f (0 K) = -3375 meV/atom
E = -5.283 eV per atom
Symmetry = P2_1/c

A geometry-optimized Li4TbF8 structure. Source: the Materials Project database, functional GGA-PBE.

The structure in POSCAR format:
```
Li4TbF8
1.0
10.075 0.000 0.000
0.000 9.912 0.000
0.000 0.000 5.832
Li Tb F
16 4 32
Direct
0.102 0.079 0.128
0.102 0.421 0.128
0.132 0.061 0.617
0.132 0.439 0.617
0.368 0.561 0.117
0.368 0.939 0.117
0.398 0.579 0.628
0.398 0.921 0.628
0.602 0.079 0.372
0.602 0.421 0.372
0.632 0.061 0.883
0.632 0.439 0.883
0.868 0.561 0.383
0.868 0.939 0.383
0.898 0.579 0.872
0.898 0.921 0.872
0.135 0.750 0.366
0.365 0.250 0.866
0.635 0.750 0.134
0.865 0.250 0.634
0.013 0.611 0.140
0.013 0.889 0.140
0.019 0.615 0.612
0.019 0.885 0.612
0.199 0.250 0.124
0.199 0.250 0.610
0.233 0.531 0.366
0.233 0.969 0.366
0.267 0.031 0.866
0.267 0.469 0.866
0.301 0.750 0.110
0.301 0.750 0.624
0.481 0.115 0.112
0.481 0.385 0.112
0.487 0.111 0.640
0.487 0.389 0.640
0.513 0.611 0.360
0.513 0.889 0.360
0.519 0.615 0.888
0.519 0.885 0.888
0.699 0.250 0.376
0.699 0.250 0.890
0.733 0.531 0.134
0.733 0.969 0.134
0.767 0.031 0.634
0.767 0.469 0.634
0.801 0.750 0.390
0.801 0.750 0.876
0.981 0.115 0.388
0.981 0.385 0.388
0.987 0.111 0.860
0.987 0.389 0.860
```

Computed properties:
ΔH_f (0 K) = -3309 meV/atom
E = -5.147 eV per atom
Symmetry = Pnma

A geometry-optimized Li3ThF7 structure. Source: the Materials Project database, functional GGA-PBE.

The structure in POSCAR format:
```
Li3ThF7
1.0
6.946 0.000 0.000
0.000 6.946 0.000
0.000 0.000 12.265
Li Th F
12 4 28
Direct
0.125 0.625 0.250
0.125 0.875 0.750
0.250 0.750 0.000
0.250 0.750 0.500
0.375 0.625 0.750
0.375 0.875 0.250
0.625 0.125 0.750
0.625 0.375 0.250
0.750 0.250 0.000
0.750 0.250 0.500
0.875 0.125 0.250
0.875 0.375 0.750
0.250 0.250 0.141
0.250 0.250 0.641
0.750 0.750 0.359
0.750 0.750 0.859
0.045 0.657 0.413
0.045 0.843 0.913
0.090 0.590 0.750
0.090 0.910 0.250
0.157 0.545 0.087
0.157 0.955 0.587
0.250 0.250 0.316
0.250 0.250 0.816
0.343 0.545 0.587
0.343 0.955 0.087
0.410 0.590 0.250
0.410 0.910 0.750
0.455 0.657 0.913
0.455 0.843 0.413
0.545 0.157 0.587
0.545 0.343 0.087
0.590 0.090 0.250
0.590 0.410 0.750
0.657 0.045 0.913
0.657 0.455 0.413
0.750 0.750 0.184
0.750 0.750 0.684
0.843 0.045 0.413
0.843 0.455 0.913
0.910 0.090 0.750
0.910 0.410 0.250
0.955 0.157 0.087
0.955 0.343 0.587
```

Computed properties:
ΔH_f (0 K) = -3565 meV/atom
E = -5.684 eV per atom
Symmetry = P4/ncc

A geometry-optimized LiThF5 structure. Source: the Materials Project database, functional GGA-PBE.

The structure in POSCAR format:
```
LiThF5
1.0
-7.618 7.618 3.356
7.618 -7.618 3.356
7.618 7.618 -3.356
Li Th F
8 8 40
Direct
0.165 0.898 0.104
0.294 0.061 0.396
0.398 0.794 0.733
0.439 0.335 0.233
0.561 0.665 0.767
0.602 0.206 0.267
0.706 0.939 0.604
0.835 0.102 0.896
0.188 0.305 0.495
0.193 0.688 0.383
0.195 0.190 0.883
0.310 0.693 0.005
0.690 0.307 0.995
0.805 0.810 0.117
0.807 0.312 0.617
0.812 0.695 0.505
0.033 0.742 0.426
0.040 0.924 0.973
0.040 0.929 0.705
0.087 0.677 0.014
0.107 0.533 0.791
0.151 0.029 0.219
0.163 0.073 0.486
0.165 0.460 0.390
0.177 0.663 0.590
0.184 0.393 0.926
0.242 0.316 0.709
0.276 0.665 0.205
0.309 0.931 0.281
0.424 0.951 0.884
0.427 0.413 0.090
0.429 0.224 0.890
0.431 0.651 0.622
0.433 0.460 0.384
0.451 0.067 0.527
0.471 0.191 0.122
0.529 0.809 0.878
0.549 0.933 0.473
0.567 0.540 0.616
0.569 0.349 0.378
0.571 0.776 0.110
0.573 0.587 0.910
0.576 0.049 0.116
0.691 0.069 0.719
0.724 0.335 0.795
0.758 0.684 0.291
0.816 0.607 0.074
0.823 0.337 0.410
0.835 0.540 0.610
0.837 0.927 0.514
0.849 0.971 0.781
0.893 0.467 0.209
0.913 0.323 0.986
0.960 0.071 0.295
0.960 0.076 0.027
0.967 0.258 0.574
```

Computed properties:
ΔH_f (0 K) = -4123 meV/atom
E = -6.492 eV per atom
Symmetry = I4_1/a

Question: Which value of ΔH_f (0 K) does entry 3 give?
Answer: -3375 meV/atom

Question: ΔH_f (0 K) of number 3 (Li2TbF6)?
Answer: -3375 meV/atom

Question: Among the records above, which one has the lowest E?
Answer: LiThF5

Question: E of number 2 (Li2TbF6)?
Answer: -5.295 eV per atom